[1]
# Sr2FeCuPb2O6

Sr2FeCuPb2O6 after structural relaxation (GGA+U, the Materials Project database).

Unit cell a=5.557 b=5.590 c=12.441 alpha=90.00 beta=90.00 gamma=90.00
Sites, in units of the cell vectors:
Sr 0.745 0.751 0.359
Sr 0.245 0.249 0.359
Sr 0.745 0.751 0.641
Sr 0.245 0.249 0.641
Fe 0.247 0.749 0.500
Fe 0.747 0.251 0.500
O 0.246 0.746 0.675
O 0.194 0.189 0.851
O 0.694 0.811 0.149
O 0.694 0.811 0.851
O 0.498 0.501 0.500
O 0.194 0.189 0.149
O 0.498 0.000 0.500
O 0.246 0.746 0.325
O 0.998 0.000 0.500
O 0.746 0.254 0.675
O 0.998 0.499 0.500
O 0.746 0.254 0.325
Cu 0.208 0.207 0.000
Cu 0.708 0.793 0.000
Pb 0.754 0.239 0.851
Pb 0.254 0.761 0.851
Pb 0.754 0.239 0.149
Pb 0.254 0.761 0.149

## Properties
Its relative energy among the computed polymorphs is 0.004 eV/atom. Its space group is Pmc2_1.



[2]
# Li9Mn2Co5O16

Li9Mn2Co5O16 after structural relaxation (GGA+U, the Materials Project database).

Unit cell a=5.917 b=6.466 c=8.589 alpha=83.00 beta=109.44 gamma=113.81
Sites, in units of the cell vectors:
O 0.099 0.264 0.481
O 0.616 0.515 0.753
O 0.116 0.762 0.991
O 0.613 0.247 0.483
O 0.893 0.737 0.515
O 0.893 0.239 0.015
O 0.612 0.009 0.233
O 0.380 0.486 0.245
O 0.897 0.995 0.762
O 0.369 0.741 0.515
O 0.107 0.509 0.743
O 0.660 0.786 0.994
O 0.845 0.471 0.252
O 0.393 0.986 0.767
O 0.358 0.221 0.007
O 0.147 0.027 0.241
Li 0.238 0.499 0.996
Li 0.498 0.501 0.503
Li 0.255 0.997 0.505
Li 0.739 0.260 0.735
Li 0.757 0.503 0.997
Li 0.732 0.740 0.260
Li 0.255 0.260 0.740
Li 0.746 0.996 0.503
Li 0.273 0.745 0.266
Co 0.987 0.741 0.749
Co 0.999 0.503 0.500
Co 0.502 0.747 0.747
Co 0.010 0.259 0.253
Co 0.503 0.000 0.998
Mn 0.006 0.002 0.997
Mn 0.501 0.253 0.255

## Properties
Its relative energy among the computed polymorphs is 0.075 eV/atom. Its space group is P1.



[3]
# ErMn2O5

ErMn2O5 after structural relaxation (GGA+U, the Materials Project database).

Unit cell a=5.779 b=7.302 c=8.526 alpha=90.00 beta=90.00 gamma=90.00
Sites, in units of the cell vectors:
O 0.731 0.000 0.000
O 0.761 0.891 0.293
O 0.239 0.891 0.293
O 0.500 0.650 0.072
O 0.239 0.609 0.793
O 0.239 0.109 0.707
O 0.269 0.000 0.000
O 0.731 0.500 0.500
O 0.000 0.335 0.941
O 0.000 0.665 0.059
O 0.761 0.609 0.793
O 0.500 0.150 0.428
O 0.239 0.391 0.207
O 0.000 0.165 0.441
O 0.500 0.350 0.928
O 0.761 0.391 0.207
O 0.000 0.835 0.559
O 0.500 0.850 0.572
O 0.761 0.109 0.707
O 0.269 0.500 0.500
Er 0.000 0.863 0.830
Er 0.000 0.637 0.330
Er 0.000 0.363 0.670
Er 0.000 0.137 0.170
Mn 0.747 0.500 0.000
Mn 0.500 0.912 0.152
Mn 0.500 0.412 0.348
Mn 0.253 0.500 0.000
Mn 0.253 0.000 0.500
Mn 0.500 0.588 0.652
Mn 0.500 0.088 0.848
Mn 0.747 0.000 0.500

## Properties
Its space group is Pbam.



[4]
# Li3Fe2CoO6

Li3Fe2CoO6 after structural relaxation (GGA+U, the Materials Project database).

Unit cell a=6.617 b=6.617 c=5.917 alpha=76.07 beta=76.07 gamma=25.61
Sites, in units of the cell vectors:
Co 0.000 0.000 0.500
Li 0.340 0.340 0.333
Li 0.660 0.660 0.667
Li 0.000 0.000 0.000
O 0.157 0.157 0.411
O 0.503 0.503 0.277
O 0.169 0.169 0.929
O 0.831 0.831 0.071
O 0.843 0.843 0.589
O 0.497 0.497 0.723
Fe 0.665 0.665 0.170
Fe 0.335 0.335 0.830

## Properties
Its relative energy among the computed polymorphs is 0.001 eV/atom. Its space group is C2/m.



[5]
# Li4FeP6H12O24

Li4FeP6H12O24 after structural relaxation (GGA+U, the Materials Project database).

Unit cell a=7.200 b=9.146 c=9.550 alpha=62.02 beta=71.89 gamma=70.82
Sites, in units of the cell vectors:
H 0.511 0.418 0.152
H 0.489 0.582 0.848
H 0.322 0.351 0.265
H 0.335 0.285 0.593
H 0.784 0.824 0.417
H 0.705 0.110 0.131
H 0.216 0.176 0.583
H 0.665 0.715 0.407
H 0.295 0.890 0.869
H 0.678 0.649 0.735
H 0.716 0.050 0.001
H 0.284 0.950 0.999
Li 0.830 0.353 0.874
Li 0.170 0.647 0.126
Li 0.630 0.712 0.043
Li 0.370 0.288 0.957
O 0.142 0.152 0.054
O 0.254 0.288 0.523
O 0.012 0.218 0.304
O 0.746 0.712 0.477
O 0.149 0.977 0.724
O 0.955 0.507 0.286
O 0.822 0.326 0.674
O 0.524 0.737 0.271
O 0.316 0.663 0.549
O 0.476 0.263 0.729
O 0.257 0.548 0.852
O 0.851 0.023 0.276
O 0.684 0.337 0.451
O 0.178 0.674 0.326
O 0.206 0.941 0.336
O 0.743 0.452 0.148
O 0.858 0.848 0.946
O 0.338 0.848 0.974
O 0.794 0.059 0.664
O 0.627 0.582 0.848
O 0.045 0.493 0.714
O 0.373 0.418 0.152
O 0.662 0.152 0.026
O 0.988 0.782 0.696
P 0.847 0.392 0.285
P 0.041 0.083 0.229
P 0.959 0.917 0.771
P 0.311 0.748 0.359
P 0.153 0.608 0.715
P 0.689 0.252 0.641
Fe 0.000 0.500 0.500

## Properties
Its space group is P-1.



[6]
# VCu6AgMo5O24

VCu6AgMo5O24 after structural relaxation (GGA+U, the Materials Project database).

Unit cell a=8.797 b=7.896 c=8.300 alpha=105.72 beta=115.56 gamma=97.10
Sites, in units of the cell vectors:
O 0.026 0.043 0.060
O 0.339 0.195 0.452
O 0.901 0.346 0.012
O 0.672 0.605 0.230
O 0.322 0.516 0.743
O 0.734 0.245 0.227
O 0.327 0.067 0.090
O 0.352 0.455 0.215
O 0.266 0.919 0.699
O 0.717 0.617 0.914
O 0.676 0.785 0.992
O 0.324 0.785 0.377
O 0.652 0.034 0.743
O 0.762 0.992 0.473
O 0.439 0.820 0.171
O 0.046 0.262 0.776
O 0.081 0.712 0.962
O 0.378 0.607 0.637
O 0.968 0.979 0.855
O 0.006 0.573 0.387
O 0.055 0.896 0.313
O 0.529 0.301 0.884
O 0.645 0.681 0.561
O 0.695 0.337 0.644
Mo 0.516 0.664 0.317
Mo 0.474 0.386 0.669
Mo 0.807 0.160 0.703
Mo 0.757 0.412 0.111
Mo 0.222 0.915 0.176
Cu 0.525 0.880 0.808
Cu 0.135 0.311 0.143
Cu 0.820 0.913 0.267
Cu 0.567 0.041 0.176
Cu 0.857 0.709 0.783
Cu 0.205 0.114 0.850
Ag 0.004 0.431 0.589
V 0.165 0.778 0.461

## Properties
Its relative energy among the computed polymorphs is 0.574 eV/atom. Its space group is P1.



[7]
# CoSiH12O6F6

CoSiH12O6F6 after structural relaxation (GGA+U, the Materials Project database).

Unit cell a=6.400 b=6.400 c=6.400 alpha=96.50 beta=96.50 gamma=96.50
Sites, in units of the cell vectors:
F 0.433 0.702 0.670
F 0.702 0.670 0.433
F 0.298 0.330 0.567
F 0.567 0.298 0.330
F 0.330 0.567 0.298
F 0.670 0.433 0.702
O 0.060 0.872 0.700
O 0.940 0.128 0.300
O 0.872 0.700 0.060
O 0.700 0.060 0.872
O 0.128 0.300 0.940
O 0.300 0.940 0.128
H 0.797 0.598 0.942
H 0.204 0.313 0.815
H 0.598 0.942 0.797
H 0.815 0.204 0.313
H 0.058 0.203 0.402
H 0.203 0.402 0.058
H 0.796 0.687 0.185
H 0.402 0.058 0.203
H 0.313 0.815 0.204
H 0.185 0.796 0.687
H 0.942 0.797 0.598
H 0.687 0.185 0.796
Co 0.000 0.000 0.000
Si 0.500 0.500 0.500

## Properties
Its space group is R-3.



[8]
# CrPH12C4O4

CrPH12C4O4 after structural relaxation (GGA+U, the Materials Project database).

Unit cell a=12.903 b=12.868 c=13.372 alpha=90.00 beta=90.00 gamma=90.00
Sites, in units of the cell vectors:
O 0.956 0.204 0.574
O 0.456 0.296 0.574
O 0.088 0.935 0.279
O 0.796 0.569 0.948
O 0.088 0.435 0.221
O 0.704 0.069 0.052
O 0.000 0.510 0.053
O 0.544 0.204 0.074
O 0.204 0.431 0.052
O 0.412 0.935 0.779
O 0.912 0.565 0.779
O 0.704 0.569 0.448
O 0.500 0.010 0.947
O 0.588 0.065 0.221
O 0.000 0.990 0.553
O 0.500 0.990 0.053
O 0.544 0.704 0.426
O 0.796 0.069 0.552
O 0.412 0.435 0.721
O 0.000 0.010 0.447
O 0.296 0.931 0.948
O 0.500 0.490 0.447
O 0.588 0.565 0.279
O 0.044 0.296 0.074
O 0.500 0.510 0.553
O 0.456 0.796 0.926
O 0.044 0.796 0.426
O 0.204 0.931 0.448
O 0.912 0.065 0.721
O 0.956 0.704 0.926
O 0.296 0.431 0.552
O 0.000 0.490 0.947
H 0.941 0.907 0.174
H 0.802 0.937 0.781
H 0.223 0.301 0.430
H 0.302 0.563 0.781
H 0.309 0.100 0.145
H 0.401 0.356 0.307
H 0.066 0.280 0.698
H 0.644 0.810 0.101
H 0.093 0.171 0.933
H 0.680 0.641 0.802
H 0.809 0.400 0.145
H 0.820 0.141 0.198
H 0.777 0.199 0.930
H 0.277 0.801 0.570
H 0.691 0.900 0.855
H 0.142 0.305 0.322
H 0.566 0.720 0.802
H 0.599 0.644 0.693
H 0.820 0.641 0.302
H 0.142 0.805 0.178
H 0.330 0.059 0.401
H 0.559 0.407 0.826
H 0.180 0.359 0.698
H 0.830 0.441 0.401
H 0.691 0.400 0.645
H 0.330 0.559 0.099
H 0.434 0.280 0.198
H 0.698 0.437 0.219
H 0.407 0.671 0.067
H 0.059 0.093 0.826
H 0.809 0.900 0.355
H 0.099 0.856 0.693
H 0.907 0.329 0.433
H 0.170 0.559 0.599
H 0.356 0.690 0.601
H 0.099 0.356 0.807
H 0.401 0.856 0.193
H 0.302 0.063 0.719
H 0.642 0.695 0.178
H 0.858 0.195 0.822
H 0.144 0.690 0.101
H 0.306 0.679 0.855
H 0.901 0.644 0.193
H 0.934 0.720 0.302
H 0.698 0.937 0.281
H 0.198 0.063 0.219
H 0.723 0.699 0.070
H 0.066 0.780 0.802
H 0.194 0.179 0.145
H 0.830 0.941 0.099
H 0.806 0.321 0.645
H 0.670 0.441 0.901
H 0.306 0.179 0.645
H 0.644 0.310 0.399
H 0.320 0.359 0.198
H 0.901 0.144 0.307
H 0.407 0.171 0.433
H 0.856 0.310 0.899
H 0.309 0.600 0.355
H 0.059 0.593 0.674
H 0.694 0.821 0.355
H 0.180 0.859 0.802
H 0.198 0.563 0.281
H 0.277 0.301 0.930
H 0.434 0.780 0.302
H 0.593 0.829 0.567
H 0.170 0.059 0.901
H 0.559 0.907 0.674
H 0.806 0.821 0.855
H 0.093 0.671 0.567
H 0.599 0.144 0.807
H 0.144 0.190 0.399
H 0.680 0.141 0.698
H 0.858 0.695 0.678
H 0.223 0.801 0.070
H 0.194 0.679 0.355
H 0.723 0.199 0.430
H 0.777 0.699 0.570
H 0.191 0.600 0.855
H 0.441 0.093 0.326
H 0.934 0.220 0.198
H 0.358 0.305 0.822
H 0.441 0.593 0.174
H 0.907 0.829 0.067
H 0.642 0.195 0.322
H 0.802 0.437 0.719
H 0.320 0.859 0.302
H 0.856 0.810 0.601
H 0.356 0.190 0.899
H 0.941 0.407 0.326
H 0.694 0.321 0.145
H 0.191 0.100 0.645
H 0.358 0.805 0.678
H 0.670 0.941 0.599
H 0.566 0.220 0.698
H 0.593 0.329 0.933
C 0.244 0.629 0.309
C 0.630 0.190 0.745
C 0.376 0.623 0.129
C 0.624 0.377 0.871
C 0.691 0.246 0.368
C 0.756 0.371 0.691
C 0.744 0.371 0.191
C 0.630 0.690 0.755
C 0.244 0.129 0.191
C 0.756 0.871 0.809
C 0.744 0.871 0.309
C 0.624 0.877 0.629
C 0.876 0.377 0.371
C 0.691 0.746 0.132
C 0.876 0.877 0.129
C 0.870 0.690 0.255
C 0.809 0.746 0.632
C 0.376 0.123 0.371
C 0.809 0.246 0.868
C 0.309 0.754 0.632
C 0.370 0.810 0.255
C 0.870 0.190 0.245
C 0.370 0.310 0.245
C 0.256 0.129 0.691
C 0.309 0.254 0.868
C 0.191 0.254 0.368
C 0.124 0.623 0.629
C 0.191 0.754 0.132
C 0.130 0.310 0.745
C 0.124 0.123 0.871
C 0.130 0.810 0.755
C 0.256 0.629 0.809
Cr 0.589 0.088 0.100
Cr 0.089 0.912 0.400
Cr 0.911 0.088 0.600
Cr 0.089 0.412 0.100
Cr 0.911 0.588 0.900
Cr 0.411 0.912 0.900
Cr 0.589 0.588 0.400
Cr 0.411 0.412 0.600
P 0.705 0.796 0.706
P 0.795 0.296 0.294
P 0.205 0.204 0.794
P 0.795 0.796 0.206
P 0.295 0.704 0.206
P 0.295 0.204 0.294
P 0.705 0.296 0.794
P 0.205 0.704 0.706

## Properties
Its space group is Pbca.



Formation energy (computed, meV per atom): -1987.1; -1788.7; -2657.2; -1868.3; -2086.2; -982.0; -1809.7; -443.2
V (computed, Å³/cell): 386.4; 283.5; 359.8; 108.5; 515.2; 481.0; 256.7; 2220.2